The following is a DFT calculation (PBE) of Sr2CaIrO6 after structural relaxation.

abc: 5.939 5.801 10.067
angles: 55.16 90.00 90.00
Fractional coordinates of all 20 atoms:
Sr1 0.047 0.240 0.749
Sr2 0.547 0.760 0.751
Sr3 0.453 0.240 0.249
Sr4 0.953 0.760 0.251
Ca1 0.500 0.500 0.500
Ca2 0.000 0.500 0.000
Ir1 0.000 0.000 0.500
Ir2 0.500 0.000 0.000
O1 0.027 0.311 0.271
O2 0.527 0.689 0.229
O3 0.973 0.689 0.729
O4 0.473 0.311 0.771
O5 0.730 0.863 0.452
O6 0.230 0.137 0.048
O7 0.270 0.137 0.548
O8 0.770 0.863 0.952
O9 0.311 0.769 0.959
O10 0.811 0.231 0.541
O11 0.689 0.231 0.041
O12 0.189 0.769 0.459

Values from the calculation:
- Crystal system: monoclinic
- Space-group type: P2_1/c (14)
- Total magnetic moment: 0.300 μB per atom

The following is a DFT calculation (PBE) of Sr3CaIrO6 after structural relaxation.

abc: 6.865 6.865 6.865
angles: 91.48 91.48 91.48
Fractional coordinates of all 22 atoms:
Sr1 0.886 0.250 0.614
Sr2 0.386 0.114 0.750
Sr3 0.750 0.386 0.114
Sr4 0.250 0.614 0.886
Sr5 0.614 0.886 0.250
Sr6 0.114 0.750 0.386
Ca1 0.750 0.750 0.750
Ca2 0.250 0.250 0.250
Ir1 0.500 0.500 0.500
Ir2 0.000 0.000 0.000
O1 0.919 0.714 0.050
O2 0.450 0.786 0.581
O3 0.050 0.919 0.714
O4 0.286 0.950 0.081
O5 0.950 0.081 0.286
O6 0.714 0.050 0.919
O7 0.581 0.450 0.786
O8 0.786 0.581 0.450
O9 0.419 0.550 0.214
O10 0.214 0.419 0.550
O11 0.550 0.214 0.419
O12 0.081 0.286 0.950

Values from the calculation:
- Crystal system: trigonal
- Space-group type: R-3c (167)
- Total magnetic moment: 0.091 μB per atom

The following is a DFT calculation (PBE) of Sr2Ca2IrO6 after structural relaxation.

abc: 6.794 6.794 6.756
angles: 88.44 88.44 91.01
Fractional coordinates of all 22 atoms:
Sr1 0.114 0.886 0.000
Sr2 0.614 0.749 0.863
Sr3 0.885 0.115 0.500
Sr4 0.251 0.386 0.137
Ca1 0.749 0.251 0.000
Ca2 0.251 0.749 0.500
Ca3 0.749 0.609 0.361
Ca4 0.391 0.251 0.639
Ir1 0.501 0.002 0.251
Ir2 0.998 0.499 0.749
O1 0.579 0.292 0.307
O2 0.450 0.084 0.957
O3 0.787 0.944 0.173
O4 0.288 0.572 0.797
O5 0.946 0.785 0.667
O6 0.076 0.451 0.461
O7 0.428 0.712 0.203
O8 0.549 0.924 0.539
O9 0.215 0.054 0.333
O10 0.708 0.421 0.693
O11 0.056 0.213 0.827
O12 0.916 0.550 0.043

Values from the calculation:
- Crystal system: monoclinic
- Space-group type: C2 (5)
- Total magnetic moment: 0.091 μB per atom

The following is a DFT calculation (PBE) of Ca2P7Ir12 after structural relaxation.

abc: 9.599 9.599 3.948
angles: 90.00 90.00 120.00
Fractional coordinates of all 21 atoms:
Ca1 0.333 0.667 0.749
Ca2 0.667 0.333 0.251
P1 0.000 0.000 0.500
P2 0.286 0.876 0.246
P3 0.590 0.714 0.246
P4 0.124 0.410 0.246
P5 0.714 0.124 0.754
P6 0.410 0.286 0.754
P7 0.876 0.590 0.754
Ir1 0.261 0.104 0.245
Ir2 0.843 0.739 0.245
Ir3 0.896 0.157 0.245
Ir4 0.739 0.896 0.755
Ir5 0.157 0.261 0.755
Ir6 0.104 0.843 0.755
Ir7 0.066 0.616 0.250
Ir8 0.551 0.934 0.250
Ir9 0.384 0.449 0.250
Ir10 0.934 0.384 0.750
Ir11 0.449 0.066 0.750
Ir12 0.616 0.551 0.750

Values from the calculation:
- Crystal system: trigonal
- Space-group type: P-3 (147)
- Total magnetic moment: 0.001 μB per atom

The following is a DFT calculation (PBE) of Ca5P12Ir19 after structural relaxation.

abc: 12.683 12.683 4.000
angles: 90.00 90.00 120.00
Fractional coordinates of all 36 atoms:
Ca1 0.000 0.182 0.500
Ca2 0.818 0.818 0.500
Ca3 0.182 0.000 0.500
Ca4 0.667 0.333 0.000
Ca5 0.333 0.667 0.000
P1 0.484 0.311 0.500
P2 0.820 0.000 0.000
P3 0.180 0.180 0.000
P4 0.000 0.820 0.000
P5 0.358 0.000 0.000
P6 0.689 0.173 0.500
P7 0.827 0.516 0.500
P8 0.516 0.827 0.500
P9 0.173 0.689 0.500
P10 0.311 0.484 0.500
P11 0.000 0.358 0.000
P12 0.642 0.642 0.000
Ir1 0.802 0.181 0.000
Ir2 0.378 0.198 0.000
Ir3 0.639 0.508 0.500
Ir4 0.869 0.361 0.500
Ir5 0.361 0.869 0.500
Ir6 0.508 0.639 0.500
Ir7 0.131 0.492 0.500
Ir8 0.819 0.622 0.000
Ir9 0.622 0.819 0.000
Ir10 0.181 0.802 0.000
Ir11 0.198 0.378 0.000
Ir12 0.000 0.713 0.500
Ir13 0.287 0.287 0.500
Ir14 0.713 0.000 0.500
Ir15 0.000 0.538 0.000
Ir16 0.462 0.462 0.000
Ir17 0.538 0.000 0.000
Ir18 0.000 0.000 0.000
Ir19 0.492 0.131 0.500

Values from the calculation:
- Crystal system: hexagonal
- Space-group type: P-62m (189)

The following is a DFT calculation (PBE) of Ca4P7Ir8 after structural relaxation.

abc: 3.982 12.634 13.170
angles: 81.08 90.00 90.00
Fractional coordinates of all 38 atoms:
Ca1 0.750 0.786 0.566
Ca2 0.250 0.214 0.434
Ca3 0.750 0.485 0.709
Ca4 0.250 0.515 0.291
Ca5 0.750 0.717 0.895
Ca6 0.250 0.104 0.793
Ca7 0.750 0.896 0.207
Ca8 0.250 0.283 0.105
P1 0.250 0.909 0.412
P2 0.750 0.471 0.128
P3 0.250 0.529 0.872
P4 0.750 0.091 0.588
P5 0.250 0.741 0.080
P6 0.750 0.259 0.920
P7 0.750 0.155 0.281
P8 0.250 0.845 0.719
P9 0.250 0.056 0.099
P10 0.750 0.944 0.901
P11 0.250 0.310 0.688
P12 0.750 0.690 0.312
P13 0.250 0.610 0.562
P14 0.750 0.390 0.438
Ir1 0.250 0.986 0.575
Ir2 0.750 0.014 0.425
Ir3 0.250 0.663 0.727
Ir4 0.750 0.337 0.273
Ir5 0.250 0.554 0.048
Ir6 0.750 0.446 0.952
Ir7 0.250 0.061 0.274
Ir8 0.750 0.939 0.726
Ir9 0.250 0.423 0.527
Ir10 0.750 0.577 0.473
Ir11 0.250 0.917 0.999
Ir12 0.750 0.083 0.001
Ir13 0.250 0.729 0.396
Ir14 0.750 0.271 0.604
Ir15 0.250 0.339 0.858
Ir16 0.750 0.661 0.142

Values from the calculation:
- Crystal system: monoclinic
- Space-group type: P2_1/m (11)

The following is a DFT calculation (PBE) of Ca2SiIr2 after structural relaxation.

abc: 5.692 5.692 7.336
angles: 81.10 81.10 61.95
Fractional coordinates of all 10 atoms:
Ca1 0.983 0.724 0.140
Ca2 0.276 0.017 0.360
Ca3 0.017 0.276 0.860
Ca4 0.724 0.983 0.640
Si1 0.435 0.565 0.750
Si2 0.565 0.435 0.250
Ir1 0.490 0.775 0.990
Ir2 0.225 0.510 0.510
Ir3 0.510 0.225 0.010
Ir4 0.775 0.490 0.490

Values from the calculation:
- Crystal system: monoclinic
- Space-group type: C2/c (15)

The following is a DFT calculation (PBE) of CaSi7Ir3 after structural relaxation.

abc: 8.030 8.030 8.030
angles: 56.80 56.80 56.80
Fractional coordinates of all 22 atoms:
Ca1 0.500 0.500 0.500
Ca2 0.000 0.000 0.000
Si1 0.067 0.850 0.673
Si2 0.673 0.067 0.850
Si3 0.850 0.673 0.067
Si4 0.173 0.350 0.567
Si5 0.567 0.173 0.350
Si6 0.350 0.567 0.173
Si7 0.933 0.150 0.327
Si8 0.327 0.933 0.150
Si9 0.150 0.327 0.933
Si10 0.827 0.650 0.433
Si11 0.433 0.827 0.650
Si12 0.650 0.433 0.827
Si13 0.750 0.750 0.750
Si14 0.250 0.250 0.250
Ir1 0.070 0.750 0.430
Ir2 0.430 0.070 0.750
Ir3 0.750 0.430 0.070
Ir4 0.930 0.250 0.570
Ir5 0.570 0.930 0.250
Ir6 0.250 0.570 0.930

Values from the calculation:
- Crystal system: trigonal
- Space-group type: R-3c (167)
- Total magnetic moment: 0.000 μB per atom

Number 1: energy -6.53 eV/atom. Number 2: energy -6.48 eV/atom. Number 3: energy -6.51 eV/atom. Number 4: energy -7.65 eV/atom. Number 5: energy -7.47 eV/atom. Number 6: energy -7.03 eV/atom. Number 7: energy -6.16 eV/atom. Number 8: energy -6.69 eV/atom.